Below is Li4MnCo2O7 after structural relaxation, with properties calculated at the PBE+U level.

abc: 5.1163 5.1163 18.3420
angles: 97.66 97.66 32.85
Positions (direct):
Li: 0.0000 0.0000 0.0000
Li: 0.0000 0.0000 0.5000
Li: 0.1356 0.1356 0.2957
Li: 0.2948 0.2948 0.5641
Li: 0.4281 0.4281 0.8463
Li: 0.5719 0.5719 0.1537
Li: 0.7052 0.7052 0.4359
Li: 0.8644 0.8644 0.7044
Mn: 0.2849 0.2849 0.0749
Mn: 0.7151 0.7151 0.9251
Co: 0.1433 0.1433 0.7773
Co: 0.4187 0.4187 0.3724
Co: 0.5813 0.5813 0.6276
Co: 0.8567 0.8567 0.2227
O: 0.0522 0.0522 0.3898
O: 0.0845 0.0845 0.8963
O: 0.2062 0.2062 0.6796
O: 0.2229 0.2229 0.1765
O: 0.3415 0.3415 0.9642
O: 0.3541 0.3541 0.4583
O: 0.4853 0.4853 0.2471
O: 0.5147 0.5147 0.7529
O: 0.6459 0.6459 0.5417
O: 0.6585 0.6585 0.0358
O: 0.7771 0.7771 0.8235
O: 0.7938 0.7938 0.3204
O: 0.9155 0.9155 0.1037
O: 0.9478 0.9478 0.6102

Computed properties:
Its theoretical density is 4.02 g/cm³. Its total energy is -5.788 eV/atom. For the energy of formation from the pure elements, the calculation gives -1.7950 eV per atom. As for the total magnetic moment: 14.00 μB per cell. The crystal system is monoclinic. The symmetry is C2/m, No. 12.